Record 1
Computed, not measured: crystalline KZnPO4 at its relaxed geometry at the GGA-PBE level of DFT.

**ΔE_f**: -58.05 kcal/mol of atoms
**Crystal system**: hexagonal
**Total moment**: 0.0 μB per formula unit
**MP2020-corrected energy**: -6.457 eV per atom

a b c (Å): 18.4725 18.4725 8.6491
angles (deg): 90.00 90.00 120.00
Sites, in units of the cell vectors:
K1 0.0000 0.0000 0.0308
K2 0.0000 0.0000 0.5308
K3 0.9999 0.4804 0.4993
K4 0.0001 0.5196 0.9993
K5 0.1397 0.8052 0.9900
K6 0.1517 0.3309 0.5000
K7 0.1792 0.8483 0.5000
K8 0.1948 0.3344 0.9900
K9 0.3309 0.1792 0.0000
K10 0.3333 0.6667 0.4971
K11 0.3333 0.6667 0.9927
K12 0.3344 0.1397 0.4900
K13 0.4805 0.0001 0.4993
K14 0.4804 0.4805 0.9993
K15 0.5195 0.9999 0.9993
K16 0.5196 0.5195 0.4993
K17 0.6656 0.8603 0.9900
K18 0.6667 0.3333 0.4927
K19 0.6667 0.3333 0.9971
K20 0.6691 0.8208 0.5000
K21 0.8052 0.6656 0.4900
K22 0.8208 0.1517 0.0000
K23 0.8483 0.6691 0.0000
K24 0.8603 0.1948 0.4900
Zn1 0.0025 0.3365 0.1850
Zn2 0.0100 0.1654 0.8114
Zn3 0.1554 0.9900 0.8114
Zn4 0.1633 0.6615 0.3159
Zn5 0.1654 0.1554 0.3114
Zn6 0.1701 0.4945 0.8165
Zn7 0.3244 0.8299 0.8165
Zn8 0.3340 0.9975 0.1850
Zn9 0.3365 0.3340 0.6850
Zn10 0.3385 0.5018 0.3159
Zn11 0.4945 0.3244 0.3165
Zn12 0.4982 0.8367 0.3159
Zn13 0.5018 0.1633 0.8159
Zn14 0.5055 0.6756 0.8165
Zn15 0.6615 0.4982 0.8159
Zn16 0.6635 0.6660 0.1850
Zn17 0.6660 0.0025 0.6850
Zn18 0.6756 0.1701 0.3165
Zn19 0.8299 0.5055 0.3165
Zn20 0.8346 0.8446 0.8114
Zn21 0.8367 0.3385 0.8159
Zn22 0.8446 0.0100 0.3114
Zn23 0.9900 0.8346 0.3114
Zn24 0.9975 0.6635 0.6850
P1 0.0038 0.6724 0.2886
P2 0.0111 0.1710 0.1962
P3 0.1598 0.9889 0.1962
P4 0.1633 0.6554 0.7069
P5 0.1710 0.1598 0.6962
P6 0.1740 0.4994 0.2063
P7 0.3254 0.8260 0.2063
P8 0.3276 0.3314 0.2886
P9 0.3314 0.0038 0.7886
P10 0.3446 0.5079 0.7069
P11 0.4921 0.8367 0.7069
P12 0.4994 0.3254 0.7063
P13 0.5006 0.6746 0.2063
P14 0.5079 0.1633 0.2069
P15 0.6554 0.4921 0.2069
P16 0.6686 0.9962 0.2886
P17 0.6724 0.6686 0.7886
P18 0.6746 0.1740 0.7063
P19 0.8260 0.5006 0.7063
P20 0.8290 0.8402 0.1962
P21 0.8367 0.3446 0.2069
P22 0.8402 0.0111 0.6962
P23 0.9889 0.8290 0.6962
P24 0.9962 0.3276 0.7886
O1 0.0137 0.6686 0.4630
O2 0.0342 0.2574 0.2681
O3 0.0336 0.7637 0.2357
O4 0.0473 0.1833 0.0300
O5 0.0485 0.1278 0.2971
O6 0.0609 0.6438 0.2068
O7 0.0785 0.4526 0.2458
O8 0.0793 0.9515 0.2971
O9 0.0856 0.8863 0.6939
O10 0.0886 0.3838 0.7347
O11 0.1128 0.6991 0.7534
O12 0.1137 0.1993 0.6939
O13 0.1278 0.0793 0.7971
O14 0.1314 0.5757 0.8092
O15 0.1359 0.9527 0.0300
O16 0.1501 0.6270 0.5358
O17 0.1833 0.1359 0.5300
O18 0.1893 0.4828 0.0376
O19 0.1993 0.0856 0.1939
O20 0.2100 0.5947 0.2315
O21 0.2182 0.4658 0.3141
O22 0.2231 0.9658 0.2681
O23 0.2363 0.2698 0.2357
O24 0.2477 0.7818 0.3141
O25 0.2574 0.2231 0.7681
O26 0.2579 0.7161 0.7354
O27 0.2698 0.0336 0.7357
O28 0.2839 0.5419 0.7354
O29 0.2935 0.8107 0.0376
O30 0.2952 0.9114 0.7347
O31 0.3009 0.4137 0.7534
O32 0.3314 0.3451 0.4630
O33 0.3451 0.0137 0.9630
O34 0.3562 0.4171 0.2068
O35 0.3730 0.5230 0.5358
O36 0.3741 0.9215 0.2458
O37 0.3838 0.2952 0.2347
O38 0.3846 0.7900 0.2315
O39 0.4053 0.6153 0.2315
O40 0.4137 0.1128 0.2534
O41 0.4171 0.0609 0.7068
O42 0.4243 0.5557 0.8092
O43 0.4443 0.8686 0.8092
O44 0.4526 0.3741 0.7458
O45 0.4581 0.7421 0.7354
O46 0.4658 0.2477 0.8141
O47 0.4770 0.8499 0.5358
O48 0.4828 0.2935 0.5376
O49 0.5172 0.7065 0.0376
O50 0.5230 0.1501 0.0358
O51 0.5342 0.7523 0.3141
O52 0.5419 0.2579 0.2354
O53 0.5474 0.6259 0.2458
O54 0.5557 0.1314 0.3092
O55 0.5757 0.4443 0.3092
O56 0.5829 0.9391 0.2068
O57 0.5863 0.8872 0.7534
O58 0.5947 0.3846 0.7315
O59 0.6153 0.2100 0.7315
O60 0.6162 0.7048 0.7347
O61 0.6259 0.0785 0.7458
O62 0.6270 0.4770 0.0358
O63 0.6438 0.5829 0.7068
O64 0.6549 0.9863 0.4630
O65 0.6686 0.6549 0.9630
O66 0.6991 0.5863 0.2534
O67 0.7048 0.0886 0.2347
O68 0.7065 0.1893 0.5376
O69 0.7161 0.4581 0.2354
O70 0.7302 0.9664 0.2357
O71 0.7421 0.2839 0.2354
O72 0.7426 0.7769 0.2681
O73 0.7523 0.2182 0.8141
O74 0.7637 0.7302 0.7357
O75 0.7769 0.0342 0.7681
O76 0.7818 0.5342 0.8141
O77 0.7900 0.4053 0.7315
O78 0.8007 0.9144 0.6939
O79 0.8107 0.5172 0.5376
O80 0.8167 0.8641 0.0300
O81 0.8499 0.3730 0.0358
O82 0.8641 0.0473 0.5300
O83 0.8686 0.4243 0.3092
O84 0.8722 0.9207 0.2971
O85 0.8863 0.8007 0.1939
O86 0.8872 0.3009 0.2534
O87 0.9114 0.6162 0.2347
O88 0.9144 0.1137 0.1939
O89 0.9207 0.0485 0.7971
O90 0.9215 0.5474 0.7458
O91 0.9391 0.3562 0.7068
O92 0.9515 0.8722 0.7971
O93 0.9527 0.8167 0.5300
O94 0.9664 0.2363 0.7357
O95 0.9658 0.7426 0.7681
O96 0.9863 0.3314 0.9630

=====

Record 2
Computed, not measured: crystalline HfZr2UC4 at its relaxed geometry at the GGA-PBE level of DFT.

**ΔE_f**: -15.45 kcal/mol of atoms
**Crystal system**: trigonal
**Total moment**: 0.0 μB per formula unit

a b c (Å): 11.2546 11.2546 11.2546
angles (deg): 17.17 17.17 17.17
Sites, in units of the cell vectors:
Hf1 0.0000 0.0000 0.0000
Zr1 0.2539 0.2539 0.2539
Zr2 0.5070 0.5070 0.5070
U1 0.7531 0.7531 0.7531
C1 0.1295 0.1295 0.1295
C2 0.3762 0.3762 0.3762
C3 0.6291 0.6291 0.6291
C4 0.8794 0.8794 0.8794